Here is a geometry-optimized ErH3 structure from the Materials Project. Energies are from PBE.

Output
Relative energy among the computed polymorphs in eV per formula unit: 0.00
VASP energy in eV/atom: -4.2873

Unit cell a=6.2444 b=6.2444 c=6.5392 alpha=90.00 beta=90.00 gamma=120.00
With the nearest neighbours (Å) after each atom.
Space group P-3c1 (No. 165)
One atom of each set of equivalent atoms:
Er (0.0000, 0.3374, 0.2500) [6 per cell]  9 H 2.11-2.29
H (0.0000, 0.0000, 0.2500) [2 per cell]  3 Er 2.11, 6 H 2.35
H (0.0294, 0.3511, 0.9081) [12 per cell]  2 H 2.09-2.29, 3 Er 2.22-2.29
H (0.3333, 0.6667, 0.1851) [4 per cell]  3 Er 2.11, 3 H 2.29


Here is a geometry-optimized KSbO3 structure from the Materials Project. Energies are from PBE.

Output
VASP energy in eV/atom: -5.0608

Unit cell a=3.8474 b=5.9051 c=7.4087 alpha=79.86 beta=82.27 gamma=78.25
With the nearest neighbours (Å) after each atom.
Space group P-1 (No. 2)
One atom of each set of equivalent atoms:
K (0.1470, 0.2423, 0.1207) [2 per cell]  4 O 2.50-2.64
Sb (0.3005, 0.2663, 0.6237) [2 per cell]  1 O 1.88
O (0.1785, 0.0256, 0.4631) [2 per cell]  1 O 1.48
O (0.2470, 0.5679, 0.3436) [2 per cell]  2 Sb 2.14-2.22
O (0.2772, 0.0473, 0.8397) [2 per cell]  1 Sb 1.88


Here is a geometry-optimized NaH2SO4 structure from the Materials Project. Energies are from PBE.

Output
Relative energy among the computed polymorphs in eV per formula unit: 0.00
VASP energy in eV/atom: -5.3837

Unit cell a=6.5144 b=10.8590 c=10.8176 alpha=90.00 beta=90.00 gamma=90.00
With the nearest neighbours (Å) after each atom.
Space group Pnma (No. 62)
One atom of each set of equivalent atoms:
Na (0.0686, 0.0635, 0.1514) [8 per cell]  5 O 2.34-2.50
H (0.1755, 0.5543, 0.3843) [8 per cell]  1 O 0.98
H (0.2269, 0.1205, 0.7689) [8 per cell]  1 O 0.98
S (0.0036, 0.7500, 0.5911) [4 per cell]  3 O 1.47
S (0.2489, 0.7500, 0.0425) [4 per cell]  3 O 1.47-1.48
O (0.0933, 0.2500, 0.2861) [4 per cell]  1 S 1.47
O (0.1154, 0.6359, 0.5627) [8 per cell]  1 S 1.47
O (0.1338, 0.6363, 0.0179) [8 per cell]  1 S 1.47
O (0.1469, 0.2500, 0.6637) [4 per cell]  1 S 1.48
O (0.2497, 0.0395, 0.8072) [8 per cell]  2 H 0.98


Here is a geometry-optimized Na3CaGe3P5SO24 structure from the Materials Project. Energies are from PBE.

Output
VASP energy in eV/atom: -6.5844

Unit cell a=8.5769 b=8.6192 c=22.1553 alpha=90.36 beta=90.27 gamma=119.77
With the nearest neighbours (Å) after each atom.
Space group P1 (No. 1)
One atom of each set of equivalent atoms:
Na (0.0000, 0.0000, 0.0000) [1 per cell]  6 O 2.35-2.54
Na (0.0002, 0.0017, 0.4983) [1 per cell]  6 O 2.44-2.55
Na (0.3018, 0.3368, 0.9131) [1 per cell]  4 O 2.25-2.46
Na (0.3336, 0.6674, 0.3324) [1 per cell]  6 O 2.37-2.57
Na (0.3446, 0.6808, 0.8292) [1 per cell]  6 O 2.45-2.62
Na (0.3482, 0.3250, 0.5852) [1 per cell]  6 O 2.37-2.64
Na (0.6342, 0.0022, 0.2473) [1 per cell]  4 O 2.25-2.44
Na (0.6850, 0.3552, 0.1655) [1 per cell]  6 O 2.52-2.60
Na (0.6867, 0.3445, 0.6658) [1 per cell]  6 O 2.40-2.68
Ca (0.0036, 0.0028, 0.8586) [1 per cell]  6 O 2.11-2.19
Ca (0.3355, 0.6728, 0.1862) [1 per cell]  6 O 2.12-2.25
Ca (0.3442, 0.6761, 0.6798) [1 per cell]  6 O 2.15-2.21
Ge (0.9998, 0.9962, 0.1499) [1 per cell]  5 O 1.86-1.95
Ge (0.0126, 0.0122, 0.3558) [1 per cell]  6 O 1.83-1.96
Ge (0.0160, 0.0132, 0.6460) [1 per cell]  6 O 1.92-2.03
Ge (0.3449, 0.6797, 0.4803) [1 per cell]  6 O 1.90-1.97
Ge (0.3462, 0.6955, 0.9812) [1 per cell]  5 O 1.86-1.96
Ge (0.6690, 0.3422, 0.8168) [1 per cell]  6 O 1.88-2.08
Ge (0.6778, 0.3482, 0.3147) [1 per cell]  6 O 1.89-1.96
Ge (0.6809, 0.3457, 0.5134) [1 per cell]  6 O 1.85-1.93
Ge (0.6854, 0.3449, 0.0189) [1 per cell]  6 O 1.79-1.99
P (0.0043, 0.2881, 0.2547) [1 per cell]  4 O 1.49-1.59
P (0.0395, 0.3796, 0.5798) [1 per cell]  4 O 1.49-1.59
P (0.0428, 0.6779, 0.0816) [1 per cell]  4 O 1.49-1.58
P (0.2956, 0.0239, 0.2540) [1 per cell]  4 O 1.51-1.58
P (0.3117, 0.3020, 0.7528) [1 per cell]  4 O 1.50-1.63
P (0.3495, 0.9775, 0.5797) [1 per cell]  4 O 1.48-1.60
P (0.3883, 0.3471, 0.4161) [1 per cell]  4 O 1.55-1.56
P (0.4053, 0.0573, 0.9199) [1 per cell]  4 O 1.51-1.57
P (0.6445, 0.9801, 0.0835) [1 per cell]  4 O 1.50-1.58
P (0.6469, 0.6789, 0.5794) [1 per cell]  4 O 1.50-1.57
P (0.6660, 0.6227, 0.9222) [1 per cell]  4 O 1.49-1.59
P (0.6746, 0.0529, 0.4151) [1 per cell]  4 O 1.54-1.56
P (0.7347, 0.7201, 0.2547) [1 per cell]  4 O 1.51-1.57
P (0.9670, 0.3611, 0.9189) [1 per cell]  4 O 1.51-1.58
P (0.9674, 0.6328, 0.4160) [1 per cell]  4 O 1.54-1.56
S (0.3438, 0.3750, 0.0802) [1 per cell]  4 O 1.44-1.51
S (0.7223, 0.0250, 0.7495) [1 per cell]  4 O 1.44-1.53
S (0.9982, 0.7087, 0.7496) [1 per cell]  4 O 1.44-1.53
O (0.0201, 0.8102, 0.8038) [1 per cell]  1 S 1.44
O (0.0263, 0.1982, 0.3115) [1 per cell]  1 P 1.54
O (0.0294, 0.8532, 0.0881) [1 per cell]  1 P 1.58
O (0.0296, 0.1909, 0.5864) [1 per cell]  1 P 1.59
O (0.0970, 0.4798, 0.6380) [1 per cell]  1 P 1.49
O (0.1037, 0.6324, 0.1382) [1 per cell]  1 P 1.49
O (0.1534, 0.6854, 0.7446) [1 per cell]  1 S 1.45
O (0.1558, 0.6496, 0.4245) [1 per cell]  1 P 1.56
O (0.1576, 0.5344, 0.9248) [1 per cell]  1 P 1.58
O (0.1655, 0.4701, 0.2524) [1 per cell]  1 P 1.49
O (0.1694, 0.7161, 0.0253) [1 per cell]  1 P 1.58
O (0.1760, 0.9989, 0.5861) [1 per cell]  1 P 1.60
O (0.1772, 0.4665, 0.5261) [1 per cell]  1 P 1.59
O (0.1794, 0.1961, 0.0856) [1 per cell]  1 S 1.49
O (0.1815, 0.9946, 0.3106) [1 per cell]  1 P 1.54
O (0.1994, 0.1770, 0.4103) [1 per cell]  1 P 1.56
O (0.2104, 0.2205, 0.8094) [1 per cell]  1 P 1.50
O (0.2119, 0.0517, 0.1945) [1 per cell]  1 P 1.57
O (0.2212, 0.0387, 0.9195) [1 per cell]  1 P 1.51
O (0.2214, 0.1837, 0.6915) [1 per cell]  1 P 1.63
O (0.3068, 0.8485, 0.5242) [1 per cell]  1 P 1.57
O (0.3112, 0.4578, 0.0251) [1 per cell]  1 S 1.51
O (0.3270, 0.8662, 0.2519) [1 per cell]  1 P 1.51
O (0.3415, 0.4880, 0.7466) [1 per cell]  1 P 1.50
O (0.3692, 0.5167, 0.4241) [1 per cell]  1 P 1.56
O (0.3816, 0.4817, 0.1345) [1 per cell]  1 S 1.44
O (0.3927, 0.8711, 0.9243) [1 per cell]  1 P 1.56
O (0.3946, 0.9223, 0.6375) [1 per cell]  1 P 1.48
O (0.4701, 0.3126, 0.4734) [1 per cell]  1 P 1.55
O (0.4863, 0.1988, 0.2586) [1 per cell]  1 P 1.58
O (0.4871, 0.6324, 0.9271) [1 per cell]  1 P 1.58
O (0.4938, 0.1779, 0.9752) [1 per cell]  1 P 1.53
O (0.5002, 0.3071, 0.7556) [1 per cell]  1 P 1.60
O (0.5045, 0.3516, 0.0728) [1 per cell]  1 S 1.50
O (0.5049, 0.8658, 0.4235) [1 per cell]  1 P 1.56
O (0.5077, 0.1708, 0.5671) [1 per cell]  1 P 1.57
O (0.5099, 0.3827, 0.3606) [1 per cell]  1 P 1.55
O (0.5152, 0.1364, 0.8608) [1 per cell]  1 P 1.57
O (0.5344, 0.6217, 0.6351) [1 per cell]  1 P 1.50
O (0.5416, 0.8750, 0.7441) [1 per cell]  1 S 1.45
O (0.5445, 0.9189, 0.1418) [1 per cell]  1 P 1.50
O (0.5519, 0.7049, 0.2513) [1 per cell]  1 P 1.51
O (0.5521, 0.8491, 0.0279) [1 per cell]  1 P 1.58
O (0.5571, 0.7187, 0.5241) [1 per cell]  1 P 1.57
O (0.6261, 0.5053, 0.8626) [1 per cell]  1 P 1.59
O (0.6390, 0.1335, 0.3572) [1 per cell]  1 P 1.56
O (0.6677, 0.5113, 0.5665) [1 per cell]  1 P 1.57
O (0.6687, 0.1688, 0.0718) [1 per cell]  1 P 1.56
O (0.6858, 0.5270, 0.9767) [1 per cell]  1 P 1.52
O (0.7108, 0.1758, 0.4703) [1 per cell]  1 P 1.54
O (0.7189, 0.1985, 0.7533) [1 per cell]  1 S 1.51
O (0.7224, 0.5345, 0.2599) [1 per cell]  1 P 1.56
O (0.8006, 0.0009, 0.8036) [1 per cell]  1 S 1.44
O (0.8232, 0.8440, 0.3100) [1 per cell]  1 P 1.55
O (0.8244, 0.2976, 0.2591) [1 per cell]  1 P 1.59
O (0.8265, 0.8048, 0.9217) [1 per cell]  1 P 1.49
O (0.8279, 0.5298, 0.7530) [1 per cell]  1 S 1.51
O (0.8327, 0.0484, 0.6928) [1 per cell]  1 S 1.53
O (0.8343, 0.8509, 0.5889) [1 per cell]  1 P 1.57
O (0.8354, 0.9960, 0.0888) [1 per cell]  1 P 1.58
O (0.8437, 0.7977, 0.1949) [1 per cell]  1 P 1.57
O (0.8452, 0.0332, 0.4101) [1 per cell]  1 P 1.56
O (0.8469, 0.5500, 0.4714) [1 per cell]  1 P 1.54
O (0.8505, 0.5158, 0.0708) [1 per cell]  1 P 1.56
O (0.8510, 0.3529, 0.5667) [1 per cell]  1 P 1.54
O (0.8529, 0.3303, 0.9749) [1 per cell]  1 P 1.52
O (0.8813, 0.3892, 0.8600) [1 per cell]  1 P 1.57
O (0.8845, 0.5116, 0.3593) [1 per cell]  1 P 1.55
O (0.9626, 0.1668, 0.1960) [1 per cell]  1 P 1.59
O (0.9686, 0.7926, 0.6930) [1 per cell]  1 S 1.53
O (0.9884, 0.8223, 0.4098) [1 per cell]  1 P 1.56
O (0.9978, 0.2035, 0.9178) [1 per cell]  1 P 1.51


Here is a geometry-optimized Sr3IrN3 structure from the Materials Project. Energies are from PBE.

Output
VASP energy in eV/atom: -6.0703

Unit cell a=7.7430 b=7.7430 c=5.3348 alpha=90.00 beta=90.00 gamma=120.00
With the nearest neighbours (Å) after each atom.
Space group P6_3/m (No. 176)
One atom of each set of equivalent atoms:
Sr (0.0957, 0.3624, 0.2500) [6 per cell]  5 N 2.67-2.91
Ir (0.3333, 0.6667, 0.7500) [2 per cell]  3 N 1.91
N (0.1049, 0.4050, 0.7500) [6 per cell]  1 Ir 1.91


Here is a geometry-optimized CeO2 structure from the Materials Project. Energies are from PBE.

Output
VASP energy in eV/atom: -8.6275

Unit cell a=5.1347 b=5.1347 c=3.6364 alpha=90.00 beta=90.00 gamma=90.00
With the nearest neighbours (Å) after each atom.
Space group P4_2/mnm (No. 136)
One atom of each set of equivalent atoms:
Ce (0.0000, 0.0000, 0.0000) [2 per cell]  6 O 2.27
O (0.1873, 0.1873, 0.5000) [4 per cell]  3 Ce 2.27